[1]
A plane-wave DFT calculation with GGA+U was carried out for an optimized crystal structure of K2LiNiF6.

Cell lengths 5.673, 5.673, 5.673 Å; angles 60.00, 60.00, 60.00 degrees
Positions (direct):
K  0.250  0.250  0.250
K  0.750  0.750  0.750
Li  0.500  0.500  0.500
Ni  0.000  0.000  0.000
F  0.238  0.762  0.238
F  0.762  0.762  0.238
F  0.762  0.238  0.762
F  0.762  0.238  0.238
F  0.238  0.762  0.762
F  0.238  0.238  0.762

## Properties
As for the symmetry: Fm-3m (225). The calculation puts the magnetization at 1.00 Bohr magnetons per cell.

[2]
A plane-wave DFT calculation with GGA+U was carried out for an optimized crystal structure of Ti3MnFe2P6O24.

Cell lengths 8.571, 8.571, 8.571 Å; angles 61.19, 61.19, 61.19 degrees
Positions (direct):
Ti  0.857  0.857  0.857
Ti  0.645  0.645  0.645
Ti  0.354  0.354  0.354
Mn  0.143  0.143  0.143
Fe  0.003  0.003  0.003
Fe  0.501  0.501  0.501
P  0.952  0.248  0.548
P  0.548  0.952  0.248
P  0.745  0.460  0.044
P  0.460  0.044  0.745
P  0.044  0.745  0.460
P  0.248  0.548  0.952
O  0.887  0.666  0.521
O  0.666  0.521  0.887
O  0.942  0.090  0.745
O  0.521  0.887  0.666
O  0.978  0.184  0.400
O  0.759  0.412  0.572
O  0.745  0.942  0.090
O  0.572  0.759  0.412
O  0.814  0.621  0.997
O  0.412  0.572  0.759
O  0.897  0.268  0.047
O  0.621  0.997  0.814
O  0.400  0.978  0.184
O  0.090  0.745  0.942
O  0.586  0.449  0.239
O  0.184  0.400  0.978
O  0.449  0.239  0.586
O  0.268  0.047  0.897
O  0.239  0.586  0.449
O  0.997  0.814  0.621
O  0.495  0.120  0.312
O  0.047  0.897  0.268
O  0.312  0.495  0.120
O  0.120  0.312  0.495

## Properties
As for the symmetry: R3 (146). The calculation puts the magnetization at 13.00 Bohr magnetons per cell.

[3]
A plane-wave DFT calculation with GGA+U was carried out for an optimized crystal structure of VFe3Cu2P6O24.

Cell lengths 8.557, 8.557, 8.557 Å; angles 60.36, 60.36, 60.36 degrees
Positions (direct):
V  0.143  0.143  0.143
Fe  0.644  0.644  0.644
Fe  0.856  0.856  0.856
Fe  0.356  0.356  0.356
Cu  0.998  0.998  0.998
Cu  0.499  0.499  0.499
P  0.957  0.251  0.543
P  0.543  0.957  0.251
P  0.251  0.543  0.957
P  0.751  0.457  0.045
P  0.457  0.045  0.751
P  0.045  0.751  0.457
O  0.503  0.113  0.314
O  0.314  0.503  0.113
O  0.113  0.314  0.503
O  0.943  0.086  0.734
O  0.009  0.187  0.373
O  0.762  0.413  0.547
O  0.734  0.943  0.086
O  0.547  0.762  0.413
O  0.813  0.614  0.007
O  0.413  0.547  0.762
O  0.920  0.260  0.064
O  0.614  0.007  0.813
O  0.373  0.009  0.187
O  0.086  0.734  0.943
O  0.590  0.437  0.242
O  0.187  0.373  0.009
O  0.437  0.242  0.590
O  0.260  0.064  0.920
O  0.242  0.590  0.437
O  0.007  0.813  0.614
O  0.064  0.920  0.260
O  0.885  0.697  0.487
O  0.697  0.487  0.885
O  0.487  0.885  0.697

## Properties
As for the symmetry: R3 (146). The calculation puts the magnetization at 13.00 Bohr magnetons per cell.

[4]
A plane-wave DFT calculation with GGA+U was carried out for an optimized crystal structure of MgMn2O4.

Cell lengths 3.158, 3.286, 10.033 Å; angles 90.31, 81.37, 120.79 degrees
Positions (direct):
Mg  0.859  0.426  0.211
Mn  0.749  0.868  0.932
Mn  0.006  0.011  0.517
O  0.710  0.355  0.413
O  0.463  0.226  0.886
O  0.583  0.788  0.145
O  0.295  0.659  0.602

## Properties
As for the symmetry: P1 (1). The value obtained for the excess energy over the best structure of this formula in the dataset is 0.252 eV/atom. The calculation puts the magnetization at 8.00 Bohr magnetons per cell.

[5]
A plane-wave DFT calculation with GGA+U was carried out for an optimized crystal structure of CaLa2Mn3O9.

Cell lengths 5.562, 5.562, 13.380 Å; angles 90.00, 90.00, 120.00 degrees
Positions (direct):
Ca  0.000  0.000  0.750
Ca  0.000  0.000  0.250
La  0.333  0.667  0.086
La  0.667  0.333  0.414
La  0.333  0.667  0.586
La  0.667  0.333  0.914
Mn  0.333  0.667  0.332
Mn  0.000  0.000  0.000
Mn  0.667  0.333  0.668
Mn  0.333  0.667  0.832
Mn  0.000  0.000  0.500
Mn  0.667  0.333  0.168
O  0.769  0.105  0.082
O  0.105  0.769  0.418
O  0.432  0.432  0.750
O  0.336  0.231  0.082
O  0.664  0.895  0.418
O  0.000  0.568  0.750
O  0.895  0.664  0.082
O  0.231  0.336  0.418
O  0.568  0.000  0.750
O  0.664  0.769  0.918
O  0.000  0.432  0.250
O  0.336  0.105  0.582
O  0.105  0.336  0.918
O  0.432  0.000  0.250
O  0.769  0.664  0.582
O  0.231  0.895  0.918
O  0.568  0.568  0.250
O  0.895  0.231  0.582

## Properties
As for the symmetry: P-3c1 (165). The value obtained for the excess energy over the best structure of this formula in the dataset is 0.004 eV/atom. The calculation puts the magnetization at 22.00 Bohr magnetons per cell.

[6]
A plane-wave DFT calculation with GGA+U was carried out for an optimized crystal structure of Ca7MgCo7CuO24.

Cell lengths 7.553, 7.553, 7.553 Å; angles 89.96, 89.96, 89.96 degrees
Positions (direct):
Ca  0.249  0.249  0.751
Ca  0.751  0.249  0.751
Ca  0.751  0.249  0.249
Ca  0.249  0.751  0.751
Ca  0.751  0.751  0.751
Ca  0.249  0.751  0.249
Ca  0.751  0.751  0.249
Mg  0.249  0.249  0.249
Co  0.500  0.000  0.000
Co  0.000  0.000  0.500
Co  0.500  0.000  0.500
Co  0.000  0.500  0.000
Co  0.500  0.500  0.000
Co  0.000  0.500  0.500
Co  0.499  0.499  0.499
Cu  0.000  0.000  0.000
O  0.002  0.253  0.002
O  0.498  0.251  0.002
O  0.002  0.251  0.498
O  0.498  0.249  0.498
O  0.000  0.746  0.000
O  0.500  0.749  0.000
O  0.000  0.749  0.500
O  0.500  0.751  0.500
O  0.000  0.000  0.746
O  0.500  0.000  0.749
O  0.002  0.002  0.253
O  0.498  0.002  0.251
O  0.000  0.500  0.749
O  0.500  0.500  0.751
O  0.002  0.498  0.251
O  0.498  0.498  0.249
O  0.253  0.002  0.002
O  0.746  0.000  0.000
O  0.251  0.002  0.498
O  0.749  0.000  0.500
O  0.251  0.498  0.002
O  0.749  0.500  0.000
O  0.249  0.498  0.498
O  0.751  0.500  0.500

## Properties
As for the symmetry: R3m (160). The calculation puts the magnetization at 22.32 Bohr magnetons per cell.

[7]
A plane-wave DFT calculation with GGA+U was carried out for an optimized crystal structure of HoCrTeO6.

Cell lengths 5.404, 5.404, 8.644 Å; angles 90.00, 90.00, 120.00 degrees
Positions (direct):
Ho  0.333  0.667  0.750
Ho  0.667  0.333  0.250
Cr  0.000  0.000  0.000
Cr  0.000  0.000  0.500
Te  0.667  0.333  0.750
Te  0.333  0.667  0.250
O  0.959  0.312  0.876
O  0.041  0.688  0.124
O  0.353  0.041  0.876
O  0.353  0.312  0.624
O  0.647  0.959  0.124
O  0.647  0.688  0.376
O  0.688  0.647  0.876
O  0.688  0.041  0.624
O  0.312  0.353  0.124
O  0.312  0.959  0.376
O  0.959  0.647  0.624
O  0.041  0.353  0.376

## Properties
As for the symmetry: P-31c (163). The value obtained for the excess energy over the best structure of this formula in the dataset is 0.249 eV/atom. The calculation puts the magnetization at 6.00 Bohr magnetons per cell.

[8]
A plane-wave DFT calculation with GGA+U was carried out for an optimized crystal structure of ErSbMo2O9.

Cell lengths 9.655, 9.655, 10.793 Å; angles 68.03, 68.03, 95.20 degrees
Positions (direct):
Er  0.671  0.329  0.750
Er  0.329  0.671  0.250
Er  0.126  0.874  0.750
Er  0.874  0.126  0.250
Sb  0.652  0.617  0.966
Sb  0.383  0.348  0.534
Sb  0.348  0.383  0.034
Sb  0.617  0.652  0.466
Mo  0.046  0.259  0.474
Mo  0.741  0.954  0.026
Mo  0.954  0.741  0.526
Mo  0.259  0.046  0.974
Mo  0.058  0.434  0.806
Mo  0.566  0.942  0.694
Mo  0.942  0.566  0.194
Mo  0.434  0.058  0.306
O  0.067  0.094  0.602
O  0.906  0.933  0.898
O  0.933  0.906  0.398
O  0.094  0.067  0.102
O  0.868  0.298  0.569
O  0.702  0.132  0.931
O  0.132  0.702  0.431
O  0.298  0.868  0.069
O  0.042  0.221  0.325
O  0.779  0.958  0.175
O  0.958  0.779  0.675
O  0.221  0.042  0.825
O  0.778  0.594  0.580
O  0.406  0.222  0.920
O  0.222  0.406  0.420
O  0.594  0.778  0.080
O  0.978  0.305  0.999
O  0.695  0.022  0.501
O  0.022  0.695  0.001
O  0.305  0.978  0.499
O  0.147  0.622  0.771
O  0.378  0.853  0.729
O  0.853  0.378  0.229
O  0.622  0.147  0.271
O  0.907  0.445  0.749
O  0.555  0.093  0.751
O  0.093  0.555  0.251
O  0.445  0.907  0.249
O  0.209  0.362  0.702
O  0.638  0.791  0.798
O  0.791  0.638  0.298
O  0.362  0.209  0.202
O  0.577  0.459  0.898
O  0.541  0.423  0.602
O  0.423  0.541  0.102
O  0.459  0.577  0.398

## Properties
As for the symmetry: C2/c (15). The calculation puts the magnetization at 0.00 Bohr magnetons per cell.

[9]
A plane-wave DFT calculation with GGA+U was carried out for an optimized crystal structure of SrFe2Se2O.

Cell lengths 4.111, 6.707, 9.985 Å; angles 90.09, 89.74, 89.97 degrees
Positions (direct):
Sr  0.499  0.998  0.501
Sr  0.000  0.001  0.000
Fe  0.501  0.373  0.836
Fe  0.999  0.629  0.335
Fe  0.505  0.369  0.165
Fe  0.005  0.628  0.663
Se  0.499  0.748  0.198
Se  0.500  0.749  0.800
Se  0.001  0.252  0.700
Se  0.998  0.252  0.302
O  0.497  0.219  0.000
O  0.997  0.782  0.500

## Properties
As for the symmetry: P1 (1). The calculation puts the magnetization at 0.00 Bohr magnetons per cell.

[10]
A plane-wave DFT calculation with GGA+U was carried out for an optimized crystal structure of Ba2Mg3Tl2Fe4O12.

Cell lengths 3.891, 3.891, 21.340 Å; angles 95.23, 95.23, 90.00 degrees
Positions (direct):
Ba  0.158  0.158  0.315
Ba  0.842  0.842  0.685
Mg  0.075  0.075  0.150
Mg  0.925  0.925  0.850
Mg  0.000  0.000  0.000
Tl  0.723  0.723  0.445
Tl  0.277  0.277  0.555
Fe  0.535  0.535  0.069
Fe  0.396  0.396  0.791
Fe  0.604  0.604  0.209
Fe  0.465  0.465  0.931
O  0.397  0.897  0.795
O  0.534  0.034  0.068
O  0.225  0.225  0.451
O  0.966  0.466  0.932
O  0.775  0.775  0.549
O  0.103  0.603  0.205
O  0.603  0.103  0.205
O  0.329  0.329  0.658
O  0.897  0.397  0.795
O  0.034  0.534  0.068
O  0.466  0.966  0.932
O  0.671  0.671  0.342

## Properties
As for the symmetry: I4/mmm (139). The calculation puts the magnetization at 15.34 Bohr magnetons per cell.

[11]
A plane-wave DFT calculation with GGA+U was carried out for an optimized crystal structure of BaNdFe2O5.

Cell lengths 4.030, 4.030, 7.764 Å; angles 90.00, 90.00, 90.00 degrees
Positions (direct):
Ba  0.500  0.500  0.000
Nd  0.500  0.500  0.500
Fe  0.000  0.000  0.262
Fe  0.000  0.000  0.738
O  0.000  0.500  0.694
O  0.500  0.000  0.306
O  0.000  0.500  0.306
O  0.000  0.000  0.000
O  0.500  0.000  0.694

## Properties
As for the symmetry: P4/mmm (123). The value obtained for the excess energy over the best structure of this formula in the dataset is 0.007 eV/atom. The calculation puts the magnetization at 9.00 Bohr magnetons per cell.

[12]
A plane-wave DFT calculation with GGA+U was carried out for an optimized crystal structure of Li9Mn2Co5O16.

Cell lengths 5.891, 6.450, 8.620 Å; angles 83.02, 109.50, 114.17 degrees
Positions (direct):
Li  0.757  0.745  0.257
Li  0.252  0.998  0.499
Li  0.246  0.747  0.255
Li  0.748  0.002  0.501
Li  0.754  0.253  0.745
Li  0.243  0.255  0.743
Li  0.244  0.501  0.000
Li  0.756  0.499  0.000
Li  0.000  0.500  0.500
Mn  0.000  0.000  0.000
Mn  0.500  0.500  0.500
Co  0.516  0.258  0.255
Co  0.484  0.742  0.745
Co  0.500  0.000  0.000
Co  0.001  0.254  0.251
Co  0.999  0.746  0.749
O  0.113  0.012  0.237
O  0.611  0.257  0.489
O  0.608  0.011  0.234
O  0.149  0.269  0.486
O  0.126  0.521  0.754
O  0.601  0.504  0.738
O  0.647  0.779  0.991
O  0.115  0.762  0.990
O  0.399  0.496  0.262
O  0.851  0.731  0.514
O  0.874  0.479  0.246
O  0.389  0.743  0.511
O  0.392  0.989  0.766
O  0.887  0.988  0.763
O  0.885  0.238  0.010
O  0.353  0.221  0.009

## Properties
As for the symmetry: P-1 (2). The value obtained for the excess energy over the best structure of this formula in the dataset is 0.024 eV/atom. The calculation puts the magnetization at 12.00 Bohr magnetons per cell.

[13]
A plane-wave DFT calculation with GGA+U was carried out for an optimized crystal structure of Fe3P2O8.

Cell lengths 4.863, 6.129, 10.574 Å; angles 89.64, 90.00, 90.00 degrees
Positions (direct):
Fe  0.485  0.236  0.217
Fe  0.985  0.764  0.283
Fe  0.515  0.764  0.783
Fe  0.015  0.236  0.717
Fe  0.500  0.500  0.500
Fe  0.000  0.500  0.000
P  0.933  0.263  0.399
P  0.433  0.737  0.101
P  0.067  0.737  0.601
P  0.567  0.263  0.899
O  0.680  0.255  0.036
O  0.180  0.745  0.464
O  0.320  0.745  0.964
O  0.820  0.255  0.536
O  0.750  0.719  0.605
O  0.250  0.281  0.895
O  0.250  0.281  0.395
O  0.750  0.719  0.105
O  0.786  0.470  0.338
O  0.286  0.530  0.162
O  0.674  0.072  0.817
O  0.174  0.928  0.683
O  0.326  0.928  0.183
O  0.826  0.072  0.317
O  0.714  0.470  0.838
O  0.214  0.530  0.662

## Properties
As for the symmetry: P2_1/c (14). The value obtained for the excess energy over the best structure of this formula in the dataset is 0.000 eV/atom.

Number 1: DFT formation energy -2.64 eV per atom. Number 2: DFT formation energy -2.79 eV per atom. Number 3: DFT formation energy -2.23 eV per atom. Number 4: DFT formation energy -2.09 eV per atom. Number 5: DFT formation energy -2.85 eV per atom. Number 6: DFT formation energy -1.83 eV per atom. Number 7: DFT formation energy -2.30 eV per atom. Number 8: DFT formation energy -2.38 eV per atom. Number 9: DFT formation energy -1.24 eV per atom. Number 10: DFT formation energy -1.88 eV per atom. Number 11: DFT formation energy -2.52 eV per atom. Number 12: DFT formation energy -1.84 eV per atom. Number 13: DFT formation energy -2.30 eV per atom.